1.
An optimized crystal structure of Ba4Ru3O10. Source: the Materials Project, functional PBE-GGA.

## Properties
Calculated volume   524.3 Å³ per cell
Total energy   -6.884 eV per atom
Energy of formation from the pure elements   -2.29 eV/atom

Unit cell a=7.320 b=13.304 c=5.857 alpha=90.00 beta=113.21 gamma=90.00
Space group P2_1/c (No. 14)
One atom of each set of equivalent atoms:
Ba1 0.018 0.111 0.260 (multiplicity 4)
Ba2 0.429 0.140 0.966 (multiplicity 4)
Ru1 0.253 0.649 0.874 (multiplicity 4)
Ru2 0.500 0.000 0.500 (multiplicity 2)
O1 0.037 0.147 0.768 (multiplicity 4)
O2 0.258 0.747 0.621 (multiplicity 4)
O3 0.281 0.534 0.661 (multiplicity 4)
O4 0.282 0.537 0.124 (multiplicity 4)
O5 0.429 0.151 0.470 (multiplicity 4)


2.
An optimized crystal structure of MgMn4ZnS8. Source: the Materials Project, functional PBE-GGA.

## Properties
Calculated volume   516.7 Å³ per cell
Total energy   -5.819 eV per atom
Energy of formation from the pure elements   -0.92 eV/atom

Unit cell a=12.252 b=6.995 c=7.393 alpha=90.00 beta=125.37 gamma=90.00
Space group C2/m (No. 12)
One atom of each set of equivalent atoms:
Mg1 0.000 0.000 0.000 (multiplicity 2)
Mn1 0.000 0.000 0.500 (multiplicity 2)
Mn2 0.000 0.500 0.500 (multiplicity 2)
Mn3 0.250 0.250 0.500 (multiplicity 4)
Zn1 0.000 0.500 0.000 (multiplicity 2)
S1 0.013 0.250 0.266 (multiplicity 8)
S2 0.245 0.500 0.715 (multiplicity 4)
S3 0.249 0.000 0.717 (multiplicity 4)


> calculated volume of number 1 (Ba4Ru3O10)?

524.3 Å³ per cell